Entry 1:
## Li2SeO4 (PBE-GGA)

Data for Li2SeO4 after structural relaxation.

For the distance to the lowest polymorph of the same formula, the calculation gives 0.463 eV per atom. The value obtained for the total energy after the MP2020 corrections is -5.260 eV per atom.

```
data_Li2SeO4
_chemical_formula_sum 'Li12 Se6 O24'
_symmetry_space_group_name_H-M 'P 1'
_symmetry_Int_Tables_number 1
_cell_length_a 8.892
_cell_length_b 8.939
_cell_length_c 9.871
_cell_angle_alpha 71.19
_cell_angle_beta 72.49
_cell_angle_gamma 66.47
loop_
_symmetry_equiv_pos_as_xyz
'x,y,z'
loop_
_atom_site_label
_atom_site_fract_x
_atom_site_fract_y
_atom_site_fract_z
Li1 0.579 0.515 0.589
Li2 0.389 0.488 0.419
Li3 0.104 0.259 0.055
Li4 0.230 0.137 0.374
Li5 0.386 0.207 0.754
Li6 0.770 0.865 0.633
Li7 0.941 0.250 0.796
Li8 0.320 0.565 0.896
Li9 0.608 0.796 0.247
Li10 0.890 0.744 0.950
Li11 0.062 0.743 0.202
Li12 0.690 0.433 0.099
Se1 0.324 0.383 0.205
Se2 0.691 0.607 0.786
Se3 0.142 0.505 0.709
Se4 0.304 0.856 0.225
Se5 0.855 0.501 0.294
Se6 0.689 0.151 0.775
O1 0.643 0.553 0.370
O2 0.243 0.361 0.386
O3 0.858 0.704 0.190
O4 0.883 0.404 0.161
O5 0.355 0.453 0.631
O6 0.511 0.224 0.888
O7 0.630 0.078 0.667
O8 0.986 0.935 0.507
O9 0.147 0.997 0.142
O10 0.267 0.251 0.161
O11 0.020 0.056 0.507
O12 0.765 0.419 0.896
O13 0.790 0.636 0.611
O14 0.362 0.922 0.338
O15 0.223 0.705 0.333
O16 0.528 0.331 0.193
O17 0.494 0.645 0.778
O18 0.766 0.302 0.664
O19 0.482 0.783 0.113
O20 0.722 0.746 0.846
O21 0.118 0.602 0.842
O22 0.140 0.302 0.811
O23 0.247 0.574 0.100
O24 0.847 0.011 0.857
```


Entry 2:
## Li2Se2O7 (PBE-GGA)

Data for Li2Se2O7 after structural relaxation.

The value obtained for the total energy after the MP2020 corrections is -5.663 eV per atom.

```
data_Li2Se2O7
_chemical_formula_sum 'Li8 Se8 O28'
_symmetry_space_group_name_H-M 'P 1'
_symmetry_Int_Tables_number 1
_cell_length_a 5.216
_cell_length_b 8.672
_cell_length_c 14.150
_cell_angle_alpha 90.00
_cell_angle_beta 90.00
_cell_angle_gamma 90.00
loop_
_symmetry_equiv_pos_as_xyz
'x,y,z'
loop_
_atom_site_label
_atom_site_fract_x
_atom_site_fract_y
_atom_site_fract_z
Li1 0.409 0.433 0.102
Li2 0.091 0.067 0.602
Li3 0.591 0.933 0.898
Li4 0.909 0.567 0.398
Li5 0.591 0.567 0.898
Li6 0.909 0.933 0.398
Li7 0.409 0.067 0.102
Li8 0.091 0.433 0.602
Se1 0.237 0.750 0.219
Se2 0.263 0.750 0.719
Se3 0.763 0.250 0.781
Se4 0.737 0.250 0.281
Se5 0.390 0.750 0.503
Se6 0.110 0.750 0.003
Se7 0.610 0.250 0.497
Se8 0.890 0.250 0.997
O1 0.399 0.590 0.205
O2 0.101 0.910 0.705
O3 0.601 0.090 0.795
O4 0.899 0.410 0.295
O5 0.601 0.410 0.795
O6 0.899 0.090 0.295
O7 0.399 0.910 0.205
O8 0.101 0.590 0.705
O9 0.049 0.750 0.312
O10 0.451 0.750 0.812
O11 0.951 0.250 0.688
O12 0.549 0.250 0.188
O13 0.219 0.590 0.492
O14 0.281 0.910 0.992
O15 0.781 0.090 0.508
O16 0.719 0.410 0.008
O17 0.781 0.410 0.508
O18 0.719 0.090 0.008
O19 0.219 0.910 0.492
O20 0.281 0.590 0.992
O21 0.659 0.750 0.442
O22 0.841 0.750 0.942
O23 0.341 0.250 0.558
O24 0.159 0.250 0.058
O25 0.991 0.750 0.123
O26 0.509 0.750 0.623
O27 0.009 0.250 0.877
O28 0.491 0.250 0.377
```


Entry 3:
## Li2SeO4 (PBE-GGA)

Data for Li2SeO4 after structural relaxation.

For the distance to the lowest polymorph of the same formula, the calculation gives 0.086 eV per atom. The value obtained for the total energy after the MP2020 corrections is -5.637 eV per atom.

```
data_Li2SeO4
_chemical_formula_sum 'Li12 Se6 O24'
_symmetry_space_group_name_H-M 'P 1'
_symmetry_Int_Tables_number 1
_cell_length_a 8.587
_cell_length_b 8.587
_cell_length_c 8.587
_cell_angle_alpha 100.85
_cell_angle_beta 100.85
_cell_angle_gamma 100.85
loop_
_symmetry_equiv_pos_as_xyz
'x,y,z'
loop_
_atom_site_label
_atom_site_fract_x
_atom_site_fract_y
_atom_site_fract_z
Li1 0.542 0.809 0.424
Li2 0.458 0.191 0.576
Li3 0.107 0.682 0.878
Li4 0.424 0.542 0.809
Li5 0.809 0.424 0.542
Li6 0.576 0.458 0.191
Li7 0.682 0.878 0.107
Li8 0.878 0.107 0.682
Li9 0.191 0.576 0.458
Li10 0.893 0.318 0.122
Li11 0.318 0.122 0.893
Li12 0.122 0.893 0.318
Se1 0.136 0.248 0.580
Se2 0.864 0.752 0.420
Se3 0.752 0.420 0.864
Se4 0.420 0.864 0.752
Se5 0.248 0.580 0.136
Se6 0.580 0.136 0.248
O1 0.391 0.754 0.561
O2 0.561 0.391 0.754
O3 0.129 0.451 0.214
O4 0.176 0.749 0.143
O5 0.609 0.246 0.439
O6 0.940 0.246 0.515
O7 0.754 0.561 0.391
O8 0.451 0.214 0.129
O9 0.251 0.857 0.824
O10 0.246 0.515 0.940
O11 0.549 0.786 0.871
O12 0.857 0.824 0.251
O13 0.439 0.609 0.246
O14 0.246 0.439 0.609
O15 0.485 0.060 0.754
O16 0.214 0.129 0.451
O17 0.786 0.871 0.549
O18 0.515 0.940 0.246
O19 0.060 0.754 0.485
O20 0.754 0.485 0.060
O21 0.824 0.251 0.857
O22 0.871 0.549 0.786
O23 0.143 0.176 0.749
O24 0.749 0.143 0.176
```


- The highest total energy after the MP2020 corrections belongs to which entry?
  number 1


- What is the total energy after the MP2020 corrections in the second record?
  -5.663 eV per atom